# 1
VASP calculation (GGA-PBE) on a relaxed structure of ZnCu2Sb2O8.

Computed properties:
Magnetization ... 2.0 μB per formula unit
Energy of formation from the pure elements ... -1388 meV/atom

a = 8.8242 Å, b = 6.5925 Å, c = 12.2604 Å
α = 87.95°, β = 90.00°, γ = 90.00°
Positions (direct):
1 O 0.5214 0.3439 0.0875
2 O 0.1028 0.0928 0.3889
3 O 0.9629 0.8719 0.1901
4 O 0.3972 0.0928 0.8889
5 O 0.4185 0.8100 0.4744
6 O 0.6169 0.5165 0.3507
7 O 0.6028 0.9072 0.1111
8 O 0.3831 0.4835 0.6493
9 O 0.5815 0.1900 0.5256
10 O 0.8724 0.2971 0.2856
11 O 0.7717 0.5957 0.0797
12 O 0.3724 0.7029 0.2144
13 O 0.7503 0.9664 0.3972
14 O 0.9185 0.1900 0.0256
15 O 0.0214 0.6561 0.4125
16 O 0.2283 0.4043 0.9203
17 O 0.6276 0.2971 0.7856
18 O 0.7283 0.5957 0.5797
19 O 0.4786 0.6561 0.9125
20 O 0.1169 0.4835 0.1493
21 O 0.2497 0.0336 0.6028
22 O 0.2503 0.0336 0.1028
23 O 0.9786 0.3439 0.5875
24 O 0.2717 0.4043 0.4203
25 O 0.0815 0.8100 0.9744
26 O 0.0371 0.1281 0.8099
27 O 0.7497 0.9664 0.8972
28 O 0.8972 0.9072 0.6111
29 O 0.5371 0.8719 0.6901
30 O 0.1276 0.7029 0.7144
31 O 0.8831 0.5165 0.8507
32 O 0.4629 0.1281 0.3099
33 Cu 0.0562 0.3805 0.3771
34 Cu 0.6789 0.2414 0.3706
35 Cu 0.4438 0.3805 0.8771
36 Cu 0.1789 0.7586 0.1294
37 Cu 0.8211 0.2414 0.8706
38 Cu 0.9438 0.6195 0.6229
39 Cu 0.3211 0.7586 0.6294
40 Cu 0.5562 0.6195 0.1229
41 Zn 0.1699 0.1031 0.9460
42 Zn 0.3301 0.1031 0.4460
43 Zn 0.6699 0.8969 0.5540
44 Zn 0.8301 0.8969 0.0540
45 Sb 0.0498 0.0977 0.6563
46 Sb 0.9125 0.3956 0.1351
47 Sb 0.0875 0.6044 0.8649
48 Sb 0.9502 0.9023 0.3437
49 Sb 0.5875 0.3956 0.6351
50 Sb 0.5498 0.9023 0.8437
51 Sb 0.4125 0.6044 0.3649
52 Sb 0.4502 0.0977 0.1563

=====

# 2
VASP calculation (GGA-PBE) on a relaxed structure of Sc2Cu2O5.

Computed properties:
Magnetization ... 0.0 μB per formula unit
Energy relative to the lowest polymorph listed for this composition ... 0.43 eV/f.u.
Energy of formation from the pure elements ... -2515 meV/atom

a = 3.4200 Å, b = 5.6792 Å, c = 5.9089 Å
α = 73.06°, β = 90.00°, γ = 90.00°
Positions (direct):
1 O 0.0000 0.3712 0.3313
2 O 0.0000 0.6076 0.6669
3 O 0.5000 0.9062 0.3353
4 O 0.5000 0.6249 0.0399
5 O 0.5000 0.1244 0.6811
6 Cu 0.0000 0.5159 0.0034
7 Cu 0.5000 0.9938 0.0068
8 Sc 0.0000 0.9952 0.5199
9 Sc 0.5000 0.5103 0.4677

=====

# 3
VASP calculation (GGA-PBE) on a relaxed structure of Sc13Cu13O33.

Computed properties:
Magnetization ... 0.2 μB per formula unit
Energy of formation from the pure elements ... -2498 meV/atom

a = 5.9640 Å, b = 5.9640 Å, c = 36.2587 Å
α = 87.87°, β = 87.87°, γ = 33.37°
Positions (direct):
1 O 0.5415 0.5415 0.7624
2 O 0.6146 0.6146 0.9154
3 O 0.4499 0.4499 0.2402
4 O 0.2191 0.2191 0.7753
5 O 0.8734 0.8734 0.7927
6 O 0.5293 0.5293 0.3935
7 O 0.8338 0.8338 0.0050
8 O 0.7771 0.7771 0.2244
9 O 0.5697 0.5697 0.1769
10 O 0.9327 0.9327 0.5299
11 O 0.2984 0.2984 0.9313
12 O 0.2363 0.2363 0.1462
13 O 0.1414 0.1414 0.6214
14 O 0.4641 0.4641 0.6082
15 O 0.3892 0.3892 0.4540
16 O 0.9964 0.9964 0.3212
17 O 0.0315 0.0315 0.0986
18 O 0.6109 0.6109 0.5500
19 O 0.8448 0.8448 0.3780
20 O 0.9108 0.9108 0.1631
21 O 0.1569 0.1569 0.9916
22 O 0.0093 0.0093 0.6842
23 O 0.7199 0.7199 0.4837
24 O 0.0891 0.0891 0.8381
25 O 0.7954 0.7954 0.6379
26 O 0.3736 0.3736 0.0854
27 O 0.3173 0.3173 0.3013
28 O 0.7664 0.7664 0.8582
29 O 0.1045 0.1045 0.2561
30 O 0.0660 0.0660 0.4670
31 O 0.6877 0.6877 0.7041
32 O 0.7007 0.7007 0.0680
33 O 0.4881 0.4881 0.0195
34 Cu 0.6130 0.6130 0.2328
35 Cu 0.7705 0.7705 0.5365
36 Cu 0.1555 0.1555 0.3077
37 Cu 0.9268 0.9268 0.8457
38 Cu 0.0737 0.0737 0.1561
39 Cu 0.2283 0.2283 0.4648
40 Cu 0.9966 0.9966 0.0040
41 Cu 0.3035 0.3035 0.6188
42 Cu 0.4557 0.4557 0.9208
43 Cu 0.5376 0.5376 0.0794
44 Cu 0.3811 0.3811 0.7733
45 Cu 0.8472 0.8472 0.6906
46 Cu 0.6861 0.6861 0.3829
47 Sc 0.8147 0.8147 0.1149
48 Sc 0.6722 0.6722 0.8072
49 Sc 0.5945 0.5945 0.6535
50 Sc 0.2803 0.2803 0.0369
51 Sc 0.3513 0.3513 0.1928
52 Sc 0.9013 0.9013 0.2701
53 Sc 0.9537 0.9537 0.4232
54 Sc 0.1054 0.1054 0.7317
55 Sc 0.0285 0.0285 0.5775
56 Sc 0.5182 0.5182 0.4994
57 Sc 0.1883 0.1883 0.8849
58 Sc 0.7233 0.7233 0.9609
59 Sc 0.4185 0.4185 0.3476

=====

# 4
VASP calculation (GGA-PBE) on a relaxed structure of ScCu2O4.

Computed properties:
Magnetization ... 1.0 μB per formula unit
Energy relative to the lowest polymorph listed for this composition ... 0.73 eV/f.u.
Energy of formation from the pure elements ... -1879 meV/atom

a = 6.7893 Å, b = 6.7893 Å, c = 6.7893 Å
α = 130.96°, β = 130.96°, γ = 71.87°
Positions (direct):
1 Cu 0.8750 0.6250 0.2500
2 Cu 0.3750 0.1250 0.7500
3 Cu 0.3750 0.6250 0.7500
4 Cu 0.3750 0.6250 0.2500
5 O 0.6311 0.8578 0.2267
6 O 0.6311 0.4044 0.7733
7 O 0.6078 0.8811 0.7267
8 O 0.1189 0.3922 0.2733
9 O 0.5956 0.3689 0.2267
10 O 0.1544 0.8811 0.2733
11 O 0.1189 0.8456 0.7267
12 O 0.1422 0.3689 0.7733
13 Sc 0.7500 0.2500 0.5000
14 Sc 0.0000 0.0000 0.0000

=====

Question: Among the records above, which one has the lowest energy of formation from the pure elements?
Answer: Sc2Cu2O5